No. 1
First-principles (GGA+U) data for a relaxed structure of Li3Mo2P5O18, as listed in Materials Project.

Unit cell a=6.643 b=9.565 c=10.670 alpha=96.60 beta=92.50 gamma=92.45
Fractional coordinates of all 56 atoms:
Li: 0.020 0.432 0.137
Li: 0.127 0.695 0.668
Li: 0.454 0.251 0.407
Li: 0.546 0.749 0.593
Li: 0.873 0.305 0.332
Li: 0.980 0.568 0.863
Mo: 0.229 0.856 0.407
Mo: 0.330 0.268 0.953
Mo: 0.670 0.732 0.047
Mo: 0.771 0.144 0.593
P: 0.165 0.779 0.098
P: 0.172 0.083 0.179
P: 0.223 0.516 0.399
P: 0.276 0.092 0.644
P: 0.484 0.538 0.793
P: 0.516 0.462 0.207
P: 0.724 0.908 0.356
P: 0.777 0.484 0.601
P: 0.828 0.917 0.821
P: 0.835 0.221 0.902
O: 0.005 0.181 0.199
O: 0.013 0.317 0.963
O: 0.037 0.483 0.312
O: 0.078 0.147 0.591
O: 0.087 0.934 0.099
O: 0.200 0.753 0.236
O: 0.217 0.663 0.484
O: 0.266 0.930 0.599
O: 0.276 0.044 0.302
O: 0.286 0.398 0.471
O: 0.301 0.127 0.789
O: 0.327 0.130 0.083
O: 0.331 0.437 0.848
O: 0.340 0.419 0.103
O: 0.356 0.754 0.028
O: 0.395 0.663 0.742
O: 0.412 0.557 0.312
O: 0.460 0.157 0.581
O: 0.540 0.843 0.419
O: 0.588 0.443 0.688
O: 0.605 0.337 0.258
O: 0.644 0.246 0.972
O: 0.660 0.581 0.897
O: 0.669 0.563 0.152
O: 0.673 0.870 0.917
O: 0.699 0.873 0.211
O: 0.714 0.602 0.529
O: 0.724 0.956 0.698
O: 0.734 0.070 0.401
O: 0.783 0.337 0.516
O: 0.800 0.247 0.764
O: 0.913 0.066 0.901
O: 0.922 0.853 0.409
O: 0.963 0.517 0.688
O: 0.987 0.683 0.037
O: 0.995 0.819 0.801

Values from the calculation:
- crystal system = triclinic
- calculated formation energy (kJ/mol of atoms) = -243.4
- VASP energy (eV per atom) = -6.98
- excess energy over the best structure of this formula in the dataset (meV/atom) = 0.0


No. 2
First-principles (GGA+U) data for a relaxed structure of LiMoP2O7, as listed in Materials Project.

Unit cell a=6.506 b=6.506 c=13.571 alpha=105.11 beta=105.11 gamma=81.41
Fractional coordinates of all 44 atoms:
Li: 0.024 0.243 0.154
Li: 0.243 0.024 0.654
Li: 0.757 0.976 0.346
Li: 0.976 0.757 0.846
Mo: 0.127 0.604 0.361
Mo: 0.396 0.873 0.139
Mo: 0.604 0.127 0.861
Mo: 0.873 0.396 0.639
P: 0.097 0.247 0.865
P: 0.247 0.097 0.365
P: 0.333 0.412 0.572
P: 0.412 0.333 0.072
P: 0.588 0.667 0.928
P: 0.667 0.588 0.428
P: 0.753 0.903 0.635
P: 0.903 0.753 0.135
O: 0.014 0.580 0.194
O: 0.056 0.892 0.118
O: 0.099 0.270 0.315
O: 0.108 0.944 0.382
O: 0.195 0.324 0.626
O: 0.211 0.383 0.977
O: 0.217 0.598 0.523
O: 0.270 0.099 0.815
O: 0.324 0.195 0.126
O: 0.383 0.211 0.477
O: 0.402 0.783 0.977
O: 0.420 0.986 0.306
O: 0.450 0.542 0.357
O: 0.458 0.550 0.143
O: 0.542 0.450 0.857
O: 0.550 0.458 0.643
O: 0.580 0.014 0.694
O: 0.598 0.217 0.023
O: 0.617 0.789 0.523
O: 0.676 0.805 0.874
O: 0.730 0.901 0.185
O: 0.783 0.402 0.477
O: 0.789 0.617 0.023
O: 0.805 0.676 0.374
O: 0.892 0.056 0.618
O: 0.901 0.730 0.685
O: 0.944 0.108 0.882
O: 0.986 0.420 0.806

Values from the calculation:
- crystal system = monoclinic
- calculated formation energy (kJ/mol of atoms) = -247.7
- VASP energy (eV per atom) = -7.13
- excess energy over the best structure of this formula in the dataset (meV/atom) = 16.5


No. 3
First-principles (GGA+U) data for a relaxed structure of Li2MoP5O15, as listed in Materials Project.

Unit cell a=5.336 b=13.553 c=8.961 alpha=90.00 beta=102.33 gamma=90.00
Fractional coordinates of all 46 atoms:
Li: 0.056 0.123 0.080
Li: 0.056 0.377 0.080
Li: 0.944 0.623 0.920
Li: 0.944 0.877 0.920
Mo: 0.500 0.000 0.500
Mo: 0.500 0.500 0.500
P: 0.006 0.142 0.517
P: 0.006 0.358 0.517
P: 0.337 0.077 0.819
P: 0.337 0.423 0.819
P: 0.457 0.750 0.985
P: 0.543 0.250 0.015
P: 0.663 0.577 0.181
P: 0.663 0.923 0.181
P: 0.994 0.642 0.483
P: 0.994 0.858 0.483
O: 0.068 0.250 0.462
O: 0.138 0.073 0.425
O: 0.138 0.427 0.425
O: 0.146 0.144 0.693
O: 0.146 0.356 0.693
O: 0.189 0.037 0.929
O: 0.189 0.463 0.929
O: 0.194 0.750 0.883
O: 0.278 0.632 0.496
O: 0.278 0.868 0.496
O: 0.298 0.250 0.073
O: 0.455 0.658 0.102
O: 0.455 0.842 0.102
O: 0.479 0.007 0.735
O: 0.479 0.493 0.735
O: 0.521 0.507 0.265
O: 0.521 0.993 0.265
O: 0.545 0.158 0.898
O: 0.545 0.342 0.898
O: 0.702 0.750 0.927
O: 0.722 0.132 0.504
O: 0.722 0.368 0.504
O: 0.806 0.250 0.117
O: 0.811 0.537 0.071
O: 0.811 0.963 0.071
O: 0.854 0.644 0.307
O: 0.854 0.856 0.307
O: 0.862 0.573 0.575
O: 0.862 0.927 0.575
O: 0.932 0.750 0.538

Values from the calculation:
- crystal system = monoclinic
- calculated formation energy (kJ/mol of atoms) = -248.5
- VASP energy (eV per atom) = -7.03


No. 4
First-principles (GGA+U) data for a relaxed structure of LiMoP2O7, as listed in Materials Project.

Unit cell a=7.237 b=8.643 c=9.969 alpha=90.00 beta=110.75 gamma=90.00
Fractional coordinates of all 44 atoms:
Li: 0.178 0.123 0.253
Li: 0.178 0.377 0.753
Li: 0.822 0.623 0.247
Li: 0.822 0.877 0.747
Mo: 0.231 0.000 0.749
Mo: 0.231 0.500 0.249
Mo: 0.769 0.000 0.251
Mo: 0.769 0.500 0.751
P: 0.190 0.689 0.941
P: 0.190 0.811 0.441
P: 0.401 0.227 0.052
P: 0.401 0.273 0.552
P: 0.599 0.727 0.448
P: 0.599 0.773 0.948
P: 0.810 0.189 0.559
P: 0.810 0.311 0.059
O: 0.081 0.555 0.844
O: 0.081 0.945 0.344
O: 0.114 0.652 0.373
O: 0.114 0.848 0.873
O: 0.196 0.681 0.094
O: 0.196 0.819 0.594
O: 0.279 0.174 0.614
O: 0.279 0.326 0.114
O: 0.285 0.198 0.892
O: 0.285 0.302 0.392
O: 0.411 0.667 0.939
O: 0.411 0.833 0.439
O: 0.471 0.079 0.139
O: 0.471 0.421 0.639
O: 0.529 0.579 0.361
O: 0.529 0.921 0.861
O: 0.589 0.167 0.561
O: 0.589 0.333 0.061
O: 0.715 0.698 0.608
O: 0.715 0.802 0.108
O: 0.721 0.674 0.886
O: 0.721 0.826 0.386
O: 0.804 0.181 0.406
O: 0.804 0.319 0.906
O: 0.886 0.152 0.127
O: 0.886 0.348 0.627
O: 0.919 0.055 0.656
O: 0.919 0.445 0.156

Values from the calculation:
- crystal system = monoclinic
- calculated formation energy (kJ/mol of atoms) = -248.1
- VASP energy (eV per atom) = -7.14
- excess energy over the best structure of this formula in the dataset (meV/atom) = 11.8


No. 5
First-principles (GGA+U) data for a relaxed structure of LiMo2P3O12, as listed in Materials Project.

Unit cell a=8.857 b=8.857 c=8.921 alpha=119.70 beta=119.70 gamma=59.82
Fractional coordinates of all 36 atoms:
Li: 0.158 0.842 0.500
Li: 0.842 0.158 0.000
Mo: 0.161 0.657 0.032
Mo: 0.446 0.946 0.881
Mo: 0.657 0.161 0.532
Mo: 0.946 0.446 0.381
P: 0.047 0.267 0.706
P: 0.267 0.047 0.206
P: 0.335 0.554 0.697
P: 0.554 0.335 0.197
P: 0.763 0.843 0.713
P: 0.843 0.763 0.213
O: 0.013 0.305 0.538
O: 0.033 0.744 0.225
O: 0.078 0.205 0.201
O: 0.090 0.425 0.885
O: 0.181 0.506 0.514
O: 0.205 0.078 0.701
O: 0.246 0.878 0.190
O: 0.293 0.590 0.860
O: 0.305 0.013 0.038
O: 0.346 0.727 0.704
O: 0.392 0.520 0.194
O: 0.425 0.090 0.385
O: 0.506 0.181 0.014
O: 0.520 0.392 0.694
O: 0.578 0.860 0.709
O: 0.590 0.293 0.360
O: 0.686 0.805 0.044
O: 0.727 0.346 0.204
O: 0.744 0.033 0.725
O: 0.805 0.686 0.544
O: 0.818 0.918 0.396
O: 0.860 0.578 0.209
O: 0.878 0.246 0.690
O: 0.918 0.818 0.896

Values from the calculation:
- crystal system = monoclinic
- calculated formation energy (kJ/mol of atoms) = -241.7
- VASP energy (eV per atom) = -7.20
- excess energy over the best structure of this formula in the dataset (meV/atom) = 2.3


No. 6
First-principles (GGA+U) data for a relaxed structure of LiMoP2O8, as listed in Materials Project.

Unit cell a=4.926 b=4.926 c=7.855 alpha=90.00 beta=90.00 gamma=120.00
Fractional coordinates of all 12 atoms:
Li: 0.000 0.000 0.000
Mo: 0.667 0.333 0.356
P: 0.000 0.000 0.578
P: 0.333 0.667 0.129
O: 0.000 0.000 0.766
O: 0.026 0.642 0.204
O: 0.315 0.051 0.498
O: 0.333 0.667 0.940
O: 0.358 0.384 0.204
O: 0.616 0.974 0.204
O: 0.736 0.685 0.498
O: 0.949 0.264 0.498

Values from the calculation:
- crystal system = trigonal
- calculated formation energy (kJ/mol of atoms) = -229.3
- VASP energy (eV per atom) = -6.91
- excess energy over the best structure of this formula in the dataset (meV/atom) = 126.6


No. 7
First-principles (GGA+U) data for a relaxed structure of Li3Mo2P3O12, as listed in Materials Project.

Unit cell a=8.780 b=8.780 c=8.832 alpha=117.10 beta=117.10 gamma=61.38
Fractional coordinates of all 40 atoms:
Li: 0.130 0.870 0.750
Li: 0.193 0.441 0.708
Li: 0.441 0.193 0.208
Li: 0.559 0.807 0.792
Li: 0.807 0.559 0.292
Li: 0.870 0.130 0.250
Mo: 0.142 0.648 0.361
Mo: 0.352 0.858 0.139
Mo: 0.648 0.142 0.861
Mo: 0.858 0.352 0.639
P: 0.024 0.256 0.050
P: 0.256 0.024 0.550
P: 0.446 0.554 0.750
P: 0.554 0.446 0.250
P: 0.744 0.976 0.450
P: 0.976 0.744 0.950
O: 0.016 0.444 0.194
O: 0.025 0.748 0.141
O: 0.109 0.803 0.936
O: 0.120 0.223 0.594
O: 0.197 0.891 0.564
O: 0.223 0.120 0.094
O: 0.252 0.975 0.359
O: 0.255 0.571 0.604
O: 0.400 0.478 0.313
O: 0.429 0.745 0.896
O: 0.444 0.016 0.694
O: 0.478 0.400 0.813
O: 0.522 0.600 0.187
O: 0.556 0.984 0.306
O: 0.571 0.255 0.104
O: 0.600 0.522 0.687
O: 0.745 0.429 0.396
O: 0.748 0.025 0.641
O: 0.777 0.880 0.906
O: 0.803 0.109 0.436
O: 0.880 0.777 0.406
O: 0.891 0.197 0.064
O: 0.975 0.252 0.859
O: 0.984 0.556 0.806

Values from the calculation:
- crystal system = monoclinic
- calculated formation energy (kJ/mol of atoms) = -245.8
- VASP energy (eV per atom) = -6.97
- excess energy over the best structure of this formula in the dataset (meV/atom) = 19.0


No. 8
First-principles (GGA+U) data for a relaxed structure of LiMoP2O8, as listed in Materials Project.

Unit cell a=4.967 b=12.996 c=10.909 alpha=90.00 beta=107.64 gamma=90.00
Fractional coordinates of all 48 atoms:
Li: 0.139 0.152 0.470
Li: 0.139 0.348 0.970
Li: 0.861 0.652 0.030
Li: 0.861 0.848 0.530
Mo: 0.098 0.075 0.786
Mo: 0.098 0.425 0.286
Mo: 0.902 0.575 0.714
Mo: 0.902 0.925 0.214
P: 0.304 0.085 0.119
P: 0.304 0.415 0.619
P: 0.419 0.747 0.709
P: 0.419 0.753 0.209
P: 0.581 0.247 0.791
P: 0.581 0.253 0.291
P: 0.696 0.585 0.381
P: 0.696 0.915 0.881
O: 0.112 0.077 0.629
O: 0.112 0.423 0.129
O: 0.115 0.093 0.981
O: 0.115 0.407 0.481
O: 0.134 0.058 0.212
O: 0.134 0.442 0.712
O: 0.240 0.676 0.120
O: 0.240 0.824 0.620
O: 0.271 0.655 0.751
O: 0.271 0.845 0.251
O: 0.330 0.210 0.836
O: 0.330 0.290 0.336
O: 0.423 0.200 0.151
O: 0.423 0.300 0.651
O: 0.447 0.513 0.363
O: 0.447 0.987 0.863
O: 0.553 0.013 0.137
O: 0.553 0.487 0.637
O: 0.577 0.700 0.349
O: 0.577 0.800 0.849
O: 0.670 0.710 0.664
O: 0.670 0.790 0.164
O: 0.729 0.155 0.749
O: 0.729 0.345 0.249
O: 0.760 0.176 0.380
O: 0.760 0.324 0.880
O: 0.866 0.558 0.288
O: 0.866 0.942 0.788
O: 0.885 0.593 0.519
O: 0.885 0.907 0.019
O: 0.888 0.577 0.871
O: 0.888 0.923 0.371

Values from the calculation:
- crystal system = monoclinic
- calculated formation energy (kJ/mol of atoms) = -238.0
- VASP energy (eV per atom) = -7.01
- excess energy over the best structure of this formula in the dataset (meV/atom) = 35.7


No. 9
First-principles (GGA+U) data for a relaxed structure of Li3Mo2P3O12, as listed in Materials Project.

Unit cell a=5.012 b=5.012 c=19.363 alpha=90.12 beta=90.12 gamma=66.28
Fractional coordinates of all 40 atoms:
Li: 0.000 0.000 0.164
Li: 0.000 0.000 0.836
Li: 0.332 0.332 0.911
Li: 0.334 0.334 0.239
Li: 0.666 0.666 0.761
Li: 0.668 0.668 0.089
Mo: 0.000 0.000 0.000
Mo: 0.000 0.000 0.500
Mo: 0.003 0.003 0.329
Mo: 0.997 0.997 0.671
P: 0.347 0.347 0.752
P: 0.352 0.352 0.080
P: 0.352 0.352 0.412
P: 0.648 0.648 0.588
P: 0.648 0.648 0.920
P: 0.653 0.653 0.248
O: 0.228 0.698 0.415
O: 0.237 0.691 0.750
O: 0.241 0.695 0.080
O: 0.244 0.244 0.687
O: 0.246 0.246 0.475
O: 0.247 0.247 0.144
O: 0.249 0.249 0.818
O: 0.254 0.254 0.012
O: 0.262 0.262 0.343
O: 0.302 0.772 0.585
O: 0.305 0.759 0.920
O: 0.309 0.763 0.250
O: 0.691 0.237 0.750
O: 0.695 0.241 0.080
O: 0.698 0.228 0.415
O: 0.738 0.738 0.657
O: 0.746 0.746 0.988
O: 0.751 0.751 0.182
O: 0.753 0.753 0.856
O: 0.754 0.754 0.525
O: 0.756 0.756 0.313
O: 0.759 0.305 0.920
O: 0.763 0.309 0.250
O: 0.772 0.302 0.585

Values from the calculation:
- crystal system = monoclinic
- calculated formation energy (kJ/mol of atoms) = -245.0
- VASP energy (eV per atom) = -6.96
- excess energy over the best structure of this formula in the dataset (meV/atom) = 26.6